Record 1
DFT (r²SCAN) results for a relaxed ThSe2O6 crystal.

Lattice parameters (Å, degrees): 7.2394 11.1629 6.6851 90.00 90.00 90.00
Atoms (fractional coordinates):
Th: 0.1489 0.1467 0.0000
Th: 0.3511 0.6467 0.5000
Th: 0.6489 0.3533 0.0000
Th: 0.8511 0.8533 0.5000
Se: 0.0486 0.8162 0.0111
Se: 0.1461 0.4590 0.0528
Se: 0.3539 0.9590 0.5528
Se: 0.4514 0.3162 0.5111
Se: 0.5486 0.6838 0.0111
Se: 0.6461 0.0410 0.0528
Se: 0.8539 0.5410 0.5528
Se: 0.9514 0.1838 0.5111
O: 0.0291 0.6409 0.6020
O: 0.0688 0.9559 0.1168
O: 0.0720 0.2500 0.7022
O: 0.1256 0.1583 0.3449
O: 0.1882 0.8467 0.5278
O: 0.1924 0.5115 0.2838
O: 0.3076 0.0115 0.7838
O: 0.3118 0.3467 0.0278
O: 0.3744 0.6583 0.8449
O: 0.4280 0.7500 0.2022
O: 0.4312 0.4559 0.6168
O: 0.4709 0.1409 0.1020
O: 0.5291 0.8591 0.6020
O: 0.5688 0.5441 0.1168
O: 0.5720 0.2500 0.7022
O: 0.6256 0.3417 0.3449
O: 0.6882 0.6533 0.5278
O: 0.6924 0.9885 0.2838
O: 0.8076 0.4885 0.7838
O: 0.8118 0.1533 0.0278
O: 0.8744 0.8417 0.8449
O: 0.9280 0.7500 0.2022
O: 0.9312 0.0441 0.6168
O: 0.9709 0.3591 0.1020

- relative energy among the computed polymorphs (meV per atom) = 6
- SG = No. 33


Record 2
DFT (r²SCAN) results for a relaxed TiSe2O6 crystal.

Lattice parameters (Å, degrees): 4.7644 8.3411 6.7997 90.00 110.73 90.00
Atoms (fractional coordinates):
Ti: 0.0000 0.0000 0.0000
Ti: 0.0000 0.5000 0.5000
Se: 0.3667 0.1417 0.6762
Se: 0.3667 0.3583 0.1762
Se: 0.6333 0.6417 0.8238
Se: 0.6333 0.8583 0.3238
O: 0.0990 0.0520 0.7494
O: 0.0990 0.4480 0.2494
O: 0.2611 0.1615 0.1715
O: 0.2611 0.3385 0.6715
O: 0.3343 0.6540 0.5925
O: 0.3343 0.8460 0.0925
O: 0.6657 0.1540 0.9075
O: 0.6657 0.3460 0.4075
O: 0.7389 0.6615 0.3285
O: 0.7389 0.8385 0.8285
O: 0.9010 0.5520 0.7506
O: 0.9010 0.9480 0.2506

- SG = No. 14


Record 3
DFT (r²SCAN) results for a relaxed Tl2SeO4 crystal.

Lattice parameters (Å, degrees): 6.0994 6.0994 8.2668 90.01 90.01 116.05
Atoms (fractional coordinates):
Tl: 0.0006 0.9994 0.5000
Tl: 0.3076 0.6881 0.7521
Tl: 0.6881 0.3076 0.2521
Tl: 0.9994 0.0006 0.0000
Se: 0.3594 0.6450 0.2527
Se: 0.6450 0.3594 0.7527
O: 0.2445 0.3408 0.2511
O: 0.2677 0.7422 0.0918
O: 0.2746 0.7389 0.4183
O: 0.3408 0.2445 0.7511
O: 0.6629 0.7501 0.2498
O: 0.7389 0.2746 0.9183
O: 0.7422 0.2677 0.5918
O: 0.7501 0.6629 0.7498

- relative energy among the computed polymorphs (meV per atom) = 20
- SG = No. 9


Record 4
DFT (r²SCAN) results for a relaxed Tl2SeO4 crystal.

Lattice parameters (Å, degrees): 7.9605 5.8453 11.3433 90.00 90.00 90.00
Atoms (fractional coordinates):
Tl: 0.0259 0.2500 0.2264
Tl: 0.1779 0.7500 0.4116
Tl: 0.3221 0.2500 0.9116
Tl: 0.4741 0.7500 0.7264
Tl: 0.5259 0.2500 0.2736
Tl: 0.6779 0.7500 0.0884
Tl: 0.8221 0.2500 0.5884
Tl: 0.9741 0.7500 0.7736
Se: 0.2130 0.7500 0.0714
Se: 0.2870 0.2500 0.5714
Se: 0.7130 0.7500 0.4286
Se: 0.7870 0.2500 0.9286
O: 0.0156 0.7500 0.1166
O: 0.1912 0.0153 0.6197
O: 0.1912 0.4847 0.6197
O: 0.2276 0.7500 0.9249
O: 0.2724 0.2500 0.4249
O: 0.3088 0.5153 0.1197
O: 0.3088 0.9847 0.1197
O: 0.4844 0.2500 0.6166
O: 0.5156 0.7500 0.3834
O: 0.6912 0.0153 0.8803
O: 0.6912 0.4847 0.8803
O: 0.7276 0.7500 0.5751
O: 0.7724 0.2500 0.0751
O: 0.8088 0.5153 0.3803
O: 0.8088 0.9847 0.3803
O: 0.9844 0.2500 0.8834

- relative energy among the computed polymorphs (meV per atom) = 2
- SG = No. 62


Record 5
DFT (r²SCAN) results for a relaxed Tl2Se3O9 crystal.

Lattice parameters (Å, degrees): 4.6253 11.3579 17.1305 90.00 99.10 90.00
Atoms (fractional coordinates):
Tl: 0.1062 0.1495 0.3756
Tl: 0.1062 0.3504 0.8756
Tl: 0.3807 0.5600 0.7063
Tl: 0.3807 0.9400 0.2063
Tl: 0.6193 0.0600 0.7937
Tl: 0.6193 0.4400 0.2937
Tl: 0.8938 0.6496 0.1244
Tl: 0.8938 0.8504 0.6244
Se: 0.1253 0.6797 0.3093
Se: 0.1253 0.8203 0.8093
Se: 0.2315 0.1031 0.9515
Se: 0.2315 0.3969 0.4515
Se: 0.3131 0.0558 0.5880
Se: 0.3131 0.4442 0.0880
Se: 0.6869 0.5558 0.9120
Se: 0.6869 0.9442 0.4120
Se: 0.7685 0.6031 0.5485
Se: 0.7685 0.8969 0.0485
Se: 0.8747 0.1797 0.1907
Se: 0.8747 0.3203 0.6907
O: 0.0567 0.5337 0.9169
O: 0.0567 0.9663 0.4169
O: 0.0670 0.5265 0.5913
O: 0.0670 0.9735 0.0913
O: 0.0738 0.0720 0.2503
O: 0.0738 0.4280 0.7503
O: 0.0932 0.2339 0.9787
O: 0.0932 0.2661 0.4787
O: 0.1721 0.7431 0.7242
O: 0.1721 0.7569 0.2242
O: 0.3591 0.1648 0.8701
O: 0.3591 0.3352 0.3701
O: 0.4066 0.1238 0.6775
O: 0.4066 0.3762 0.1775
O: 0.4082 0.5889 0.1090
O: 0.4082 0.9111 0.6090
O: 0.4398 0.6079 0.3399
O: 0.4398 0.8921 0.8399
O: 0.5602 0.1079 0.1601
O: 0.5602 0.3921 0.6601
O: 0.5918 0.0889 0.3910
O: 0.5918 0.4111 0.8910
O: 0.5934 0.6238 0.8225
O: 0.5934 0.8762 0.3225
O: 0.6409 0.6648 0.6299
O: 0.6409 0.8352 0.1299
O: 0.8279 0.2431 0.7758
O: 0.8279 0.2569 0.2758
O: 0.9068 0.7339 0.5213
O: 0.9068 0.7661 0.0213
O: 0.9262 0.5720 0.2497
O: 0.9262 0.9280 0.7497
O: 0.9330 0.0265 0.9087
O: 0.9330 0.4735 0.4087
O: 0.9433 0.0337 0.5831
O: 0.9433 0.4663 0.0831

- SG = No. 14


Record 6
DFT (r²SCAN) results for a relaxed Tl2SeO4 crystal.

Lattice parameters (Å, degrees): 6.2974 7.8777 10.6612 90.00 90.00 90.00
Atoms (fractional coordinates):
Tl: 0.0253 0.0783 0.0809
Tl: 0.0253 0.2452 0.7148
Tl: 0.4747 0.7548 0.2148
Tl: 0.4747 0.9217 0.5809
Tl: 0.5253 0.2548 0.2852
Tl: 0.5253 0.4217 0.9191
Tl: 0.9747 0.5783 0.4191
Tl: 0.9747 0.7452 0.7852
Se: 0.0108 0.5447 0.0833
Se: 0.4892 0.4553 0.5833
Se: 0.5108 0.9553 0.9167
Se: 0.9892 0.0447 0.4167
O: 0.0474 0.9477 0.5513
O: 0.0744 0.7447 0.0535
O: 0.1984 0.0307 0.3222
O: 0.2159 0.4498 0.1514
O: 0.2841 0.5502 0.6514
O: 0.3016 0.9693 0.8222
O: 0.4256 0.2553 0.5535
O: 0.4526 0.0523 0.0513
O: 0.5474 0.5523 0.4487
O: 0.5744 0.7553 0.9465
O: 0.6984 0.4693 0.6778
O: 0.7159 0.0502 0.8486
O: 0.7841 0.9498 0.3486
O: 0.8016 0.5307 0.1778
O: 0.9256 0.2447 0.4465
O: 0.9526 0.4477 0.9487

- relative energy among the computed polymorphs (meV per atom) = 0
- SG = No. 19


Record 7
DFT (r²SCAN) results for a relaxed TlV3Se2O12 crystal.

Lattice parameters (Å, degrees): 7.0952 7.0952 11.5567 90.00 90.00 120.00
Atoms (fractional coordinates):
Tl: 0.3333 0.6667 0.0000
Tl: 0.6667 0.3333 0.5000
V: 0.1255 0.7916 0.6385
V: 0.2084 0.3340 0.6385
V: 0.3340 0.1255 0.1385
V: 0.6660 0.8745 0.6385
V: 0.7916 0.6660 0.1385
V: 0.8745 0.2084 0.1385
Se: 0.0000 0.0000 0.3596
Se: 0.0000 0.0000 0.8596
Se: 0.3333 0.6667 0.4130
Se: 0.6667 0.3333 0.9130
O: 0.0802 0.5404 0.6632
O: 0.1174 0.2516 0.7946
O: 0.1236 0.2520 0.1057
O: 0.1284 0.8764 0.1057
O: 0.1342 0.8826 0.7946
O: 0.1980 0.4151 0.4762
O: 0.2171 0.8020 0.4762
O: 0.2520 0.1284 0.6057
O: 0.2516 0.1342 0.2946
O: 0.4151 0.2171 0.9762
O: 0.4596 0.5398 0.6632
O: 0.4602 0.9198 0.6632
O: 0.5398 0.0802 0.1632
O: 0.5404 0.4602 0.1632
O: 0.5849 0.7829 0.4762
O: 0.7484 0.8658 0.7946
O: 0.7480 0.8716 0.1057
O: 0.7829 0.1980 0.9762
O: 0.8020 0.5849 0.9762
O: 0.8658 0.1174 0.2946
O: 0.8716 0.1236 0.6057
O: 0.8764 0.7480 0.6057
O: 0.8826 0.7484 0.2946
O: 0.9198 0.4596 0.1632

- SG = No. 173


Record 8
DFT (r²SCAN) results for a relaxed Yb2USe3O2 crystal.

Lattice parameters (Å, degrees): 11.1414 11.1414 11.1414 159.98 159.98 28.47
Atoms (fractional coordinates):
Yb: 0.0000 0.0000 0.0000
Yb: 0.3092 0.3092 0.0000
U: 0.6985 0.6985 0.0000
Se: 0.1313 0.1313 0.0000
Se: 0.5076 0.5076 0.0000
Se: 0.8729 0.8729 0.0000
O: 0.2527 0.7527 0.5000
O: 0.7527 0.2527 0.5000

- SG = No. 107


Record 9
DFT (r²SCAN) results for a relaxed VSeO4 crystal.

Lattice parameters (Å, degrees): 3.9076 9.8280 8.0575 90.00 99.04 90.00
Atoms (fractional coordinates):
V: 0.0204 0.0039 0.3044
V: 0.0204 0.4961 0.8044
V: 0.9796 0.5039 0.1956
V: 0.9796 0.9961 0.6956
Se: 0.1921 0.7095 0.5325
Se: 0.1921 0.7905 0.0325
Se: 0.8079 0.2095 0.9675
Se: 0.8079 0.2905 0.4675
O: 0.0176 0.1292 0.5032
O: 0.0176 0.3708 0.0032
O: 0.1169 0.1142 0.8965
O: 0.1169 0.3858 0.3965
O: 0.1280 0.6655 0.3257
O: 0.1280 0.8345 0.8257
O: 0.4391 0.5068 0.8045
O: 0.4391 0.9932 0.3045
O: 0.5609 0.0068 0.6955
O: 0.5609 0.4932 0.1955
O: 0.8720 0.1655 0.1743
O: 0.8720 0.3345 0.6743
O: 0.8831 0.6142 0.6035
O: 0.8831 0.8858 0.1035
O: 0.9824 0.6292 0.9968
O: 0.9824 0.8708 0.4968

- SG = No. 14


Record 10
DFT (r²SCAN) results for a relaxed V2Se2O9 crystal.

Lattice parameters (Å, degrees): 7.1105 7.0857 14.1347 90.00 101.79 90.00
Atoms (fractional coordinates):
V: 0.0379 0.1682 0.4265
V: 0.0379 0.3318 0.9265
V: 0.3859 0.1287 0.6318
V: 0.3859 0.3713 0.1318
V: 0.6141 0.6287 0.8682
V: 0.6141 0.8713 0.3682
V: 0.9621 0.6682 0.0735
V: 0.9621 0.8318 0.5735
Se: 0.0444 0.7232 0.3601
Se: 0.0444 0.7768 0.8601
Se: 0.4005 0.6807 0.6277
Se: 0.4005 0.8193 0.1277
Se: 0.5995 0.1807 0.8723
Se: 0.5995 0.3193 0.3723
Se: 0.9556 0.2232 0.1399
Se: 0.9556 0.2768 0.6399
O: 0.0658 0.5358 0.8440
O: 0.0658 0.9642 0.3440
O: 0.0919 0.6988 0.4834
O: 0.0919 0.8012 0.9834
O: 0.1731 0.1720 0.8961
O: 0.1731 0.3280 0.3961
O: 0.1848 0.0610 0.5318
O: 0.1848 0.4390 0.0318
O: 0.1998 0.7369 0.1645
O: 0.1998 0.7631 0.6645
O: 0.2006 0.1962 0.1653
O: 0.2006 0.3038 0.6653
O: 0.4693 0.1008 0.7654
O: 0.4693 0.3992 0.2654
O: 0.4746 0.7281 0.4075
O: 0.4746 0.7719 0.9075
O: 0.4956 0.1019 0.3844
O: 0.4956 0.3981 0.8844
O: 0.5044 0.6019 0.1156
O: 0.5044 0.8981 0.6156
O: 0.5254 0.2281 0.0925
O: 0.5254 0.2719 0.5925
O: 0.5307 0.6008 0.7346
O: 0.5307 0.8992 0.2346
O: 0.7994 0.6962 0.3347
O: 0.7994 0.8038 0.8347
O: 0.8002 0.2369 0.3355
O: 0.8002 0.2631 0.8355
O: 0.8152 0.5610 0.9682
O: 0.8152 0.9390 0.4682
O: 0.8269 0.6720 0.6039
O: 0.8269 0.8280 0.1039
O: 0.9081 0.1988 0.0166
O: 0.9081 0.3012 0.5166
O: 0.9342 0.0358 0.6560
O: 0.9342 0.4642 0.1560

- SG = No. 14


Record 11
DFT (r²SCAN) results for a relaxed V2Se3O11 crystal.

Lattice parameters (Å, degrees): 15.0310 6.3457 9.2198 90.00 93.26 90.00
Atoms (fractional coordinates):
V: 0.0866 0.0167 0.3598
V: 0.0866 0.4833 0.8598
V: 0.3410 0.5524 0.6493
V: 0.3410 0.9476 0.1493
V: 0.6590 0.0524 0.8507
V: 0.6590 0.4476 0.3507
V: 0.9134 0.5167 0.1402
V: 0.9134 0.9833 0.6402
Se: 0.1178 0.5082 0.2865
Se: 0.1178 0.9918 0.7865
Se: 0.3008 0.1358 0.4654
Se: 0.3008 0.3642 0.9654
Se: 0.4467 0.6422 0.3642
Se: 0.4467 0.8578 0.8642
Se: 0.5533 0.1422 0.1358
Se: 0.5533 0.3578 0.6358
Se: 0.6992 0.6358 0.0346
Se: 0.6992 0.8642 0.5346
Se: 0.8822 0.0082 0.2135
Se: 0.8822 0.4918 0.7135
O: 0.0404 0.5091 0.1379
O: 0.0404 0.9909 0.6379
O: 0.0755 0.1853 0.8918
O: 0.0755 0.3147 0.3918
O: 0.0851 0.7162 0.3873
O: 0.0851 0.7838 0.8873
O: 0.1093 0.0268 0.1947
O: 0.1093 0.4732 0.6947
O: 0.1966 0.0240 0.4678
O: 0.1966 0.4760 0.9678
O: 0.2738 0.1063 0.0055
O: 0.2738 0.3937 0.5055
O: 0.2739 0.7265 0.7056
O: 0.2739 0.7735 0.2056
O: 0.3131 0.1760 0.2837
O: 0.3131 0.3240 0.7837
O: 0.3847 0.7305 0.5053
O: 0.3847 0.7695 0.0053
O: 0.4411 0.6149 0.7748
O: 0.4411 0.8851 0.2748
O: 0.4481 0.1633 0.0647
O: 0.4481 0.3367 0.5647
O: 0.5519 0.6633 0.4353
O: 0.5519 0.8367 0.9353
O: 0.5589 0.1149 0.7252
O: 0.5589 0.3851 0.2252
O: 0.6153 0.2305 0.9947
O: 0.6153 0.2695 0.4947
O: 0.6869 0.6760 0.2163
O: 0.6869 0.8240 0.7163
O: 0.7261 0.2265 0.7944
O: 0.7261 0.2735 0.2944
O: 0.7262 0.6063 0.4945
O: 0.7262 0.8937 0.9945
O: 0.8034 0.5240 0.0322
O: 0.8034 0.9760 0.5322
O: 0.8907 0.5268 0.3053
O: 0.8907 0.9732 0.8053
O: 0.9149 0.2162 0.1127
O: 0.9149 0.2838 0.6127
O: 0.9245 0.6853 0.6082
O: 0.9245 0.8147 0.1082
O: 0.9596 0.0091 0.3621
O: 0.9596 0.4909 0.8621

- SG = No. 14


Which total magnetization belongs to each record? In order, 0.0 0.0 0.0 0.0 0.0 0.0 0.0 2.0 1.0 0.0 0.0 μB per formula unit.
Which E_form belongs to each record? In order, -1.988 -1.639 -0.895 -0.912 -0.823 -0.914 -1.803 -2.788 -1.683 -1.656 -1.480 eV per atom.